# Li4Ti2Nb3Fe3O16

Crystalline Li4Ti2Nb3Fe3O16 at its relaxed geometry (PBE+U, the Materials Project).

Summary:
Formation energy from the elements: -2609 meV per atom
E above lowest polymorph: 19.5 meV per atom
Total DFT energy (no corrections): -213.61 eV for the cell shown

Cell lengths 5.9974, 6.0110, 9.8886 Å; angles 89.64, 89.49, 60.28 degrees
With the nearest neighbours (Å) after each atom.
Sites, in units of the cell vectors:
Li  0.0000  0.0000  0.0000  4 O 1.86-2.05
Li  0.0077  0.0086  0.4853  3 O 1.85-2.03
Li  0.3311  0.3323  0.3944  4 O 1.93-1.98
Li  0.6632  0.6597  0.9025  4 O 1.91-2.00
Ti  0.3267  0.3241  0.0080  3 O 1.84-1.91
Ti  0.6456  0.6356  0.4869  3 O 1.88-1.95
Nb  0.1560  0.6529  0.7198  6 O 1.96-2.17
Nb  0.6400  0.1572  0.7153  6 O 1.99-2.18
Nb  0.8140  0.8161  0.2231  6 O 1.99-2.18
Fe  0.1922  0.1650  0.7149  5 O 2.05-2.17
Fe  0.3443  0.8297  0.2147  5 O 2.01-2.13
Fe  0.8294  0.3453  0.2143  6 O 2.02-2.25
O  0.0315  0.4859  0.8459  1 Nb 1.96, 1 Li 2.00, 1 Fe 2.12
O  0.1558  0.6500  0.0947  1 Ti 1.91, 1 Li 2.05
O  0.1664  0.1675  0.0937  1 Ti 1.84, 1 Li 1.97
O  0.3323  0.3499  0.5890  1 Li 1.93, 2 Nb 2.05, 1 Fe 2.09
O  0.3344  0.8199  0.5953  1 Ti 1.95, 1 Li 2.03, 1 Fe 2.17, 1 Nb 2.17
O  0.4787  0.4805  0.8378  1 Li 2.00, 2 Nb 2.05-2.08
O  0.4860  0.0296  0.8521  1 Nb 1.99, 1 Li 1.99, 1 Fe 2.05, 1 Ti 2.18
O  0.5177  0.5185  0.3488  1 Ti 1.88, 1 Li 1.98, 2 Fe 2.10
O  0.5216  0.9618  0.3532  1 Li 1.98, 1 Nb 1.99, 1 Fe 2.12, 1 Ti 2.16
O  0.6498  0.1570  0.0958  1 Ti 1.90, 1 Li 2.05
O  0.6640  0.6632  0.0960  1 Li 1.91, 1 Nb 2.02, 2 Fe 2.03
O  0.8164  0.3344  0.5946  1 Ti 1.90, 1 Li 2.02
O  0.8301  0.8315  0.5991  2 Nb 2.06-2.08, 1 Li 2.15, 1 Ti 2.27
O  0.9601  0.5230  0.3541  1 Li 1.98, 1 Nb 2.00, 1 Ti 2.11, 1 Fe 2.13
O  0.9928  0.9941  0.2992  1 Li 1.85, 1 Nb 2.01, 2 Fe 2.01-2.02
O  0.9936  0.9993  0.8118  1 Li 1.86, 2 Nb 2.03-2.08